Computed, not measured: crystalline EuAl3Pb2O8 at its relaxed geometry at the GGA-PBE level of DFT.

abc: 9.610 9.610 9.610
angles: 90.00 90.00 90.00
Space group Pn-3m (No. 224, origin choice 2)
Inequivalent atoms, fractional coordinates:
Eu: 0.000 0.000 0.000 [4 per cell]
Al: 0.000 0.250 0.750 [12 per cell]
Pb: 0.115 0.115 0.385 [8 per cell]
O: 0.093 0.093 0.762 [24 per cell]
O: 0.140 0.140 0.140 [8 per cell]

Computed properties:
Its formation energy is -2.85 eV/atom. The calculation puts the total energy after the MP2020 corrections at -108.42 eV/f.u.